# 1
PrEuDySiO6: relaxed, GGA-PBE.

The structure in POSCAR format:
```
PrEuDySiO6
1.0
0.0000 3.9968 3.9968
3.9968 0.0000 3.9968
3.9968 3.9968 0.0000
Pr Eu Dy Si O
1 1 1 1 6
Direct
0.0000 0.0000 0.0000 Pr
0.5000 0.5000 0.5000 Eu
0.7500 0.7500 0.7500 Dy
0.2500 0.2500 0.2500 Si
0.0243 0.0243 0.4757 O
0.0243 0.4757 0.0243 O
0.0243 0.4757 0.4757 O
0.4757 0.0243 0.0243 O
0.4757 0.0243 0.4757 O
0.4757 0.4757 0.0243 O
```

Values from the calculation:
* volume: 127.70 Å³/cell
* magnetic moment: 7.00 μB per cell
* ΔE_f: -3.4405 eV/atom
* raw total energy: -85.04 eV/cell

=====

# 2
Eu2DySbO6: relaxed, GGA-PBE.

The structure in POSCAR format:
```
Eu2DySbO6
1.0
0.0000 4.1925 4.1925
4.1925 0.0000 4.1925
4.1925 4.1925 0.0000
Eu Dy Sb O
2 1 1 6
Direct
0.2500 0.2500 0.2500 Eu
0.7500 0.7500 0.7500 Eu
0.0000 0.0000 0.0000 Dy
0.5000 0.5000 0.5000 Sb
0.2627 0.2627 0.7373 O
0.2627 0.7373 0.2627 O
0.2627 0.7373 0.7373 O
0.7373 0.2627 0.2627 O
0.7373 0.2627 0.7373 O
0.7373 0.7373 0.2627 O
```

Values from the calculation:
* volume: 147.38 Å³/cell
* magnetic moment: 14.00 μB per cell
* ΔE_f: -2.9997 eV/atom
* raw total energy: -84.81 eV/cell

=====

# 3
Eu2DyTaO6: relaxed, GGA-PBE.

The structure in POSCAR format:
```
Eu2DyTaO6
1.0
0.0000 4.2023 4.2023
4.2023 0.0000 4.2023
4.2023 4.2023 0.0000
Eu Dy Ta O
2 1 1 6
Direct
0.2500 0.2500 0.2500 Eu
0.7500 0.7500 0.7500 Eu
0.0000 0.0000 0.0000 Dy
0.5000 0.5000 0.5000 Ta
0.2627 0.2627 0.7373 O
0.2627 0.7373 0.2627 O
0.2627 0.7373 0.7373 O
0.7373 0.2627 0.2627 O
0.7373 0.2627 0.7373 O
0.7373 0.7373 0.2627 O
```

Values from the calculation:
* volume: 148.42 Å³/cell
* magnetic moment: 14.00 μB per cell
* ΔE_f: -3.4807 eV/atom
* raw total energy: -97.35 eV/cell

=====

# 4
EuDy2S4: relaxed, GGA-PBE.

The structure in POSCAR format:
```
EuDy2S4
1.0
11.8959 0.0000 0.0000
0.0000 3.9708 0.0000
0.0000 0.0000 14.2921
Eu Dy S
4 8 16
Direct
0.2429 0.2500 0.1626 Eu
0.2571 0.7500 0.6626 Eu
0.7429 0.2500 0.3374 Eu
0.7571 0.7500 0.8374 Eu
0.0697 0.2500 0.3900 Dy
0.0807 0.2500 0.8995 Dy
0.4193 0.7500 0.3995 Dy
0.4303 0.7500 0.8900 Dy
0.5697 0.2500 0.1100 Dy
0.5807 0.2500 0.6005 Dy
0.9193 0.7500 0.1005 Dy
0.9303 0.7500 0.6100 Dy
0.0211 0.7500 0.7842 S
0.0864 0.2500 0.5804 S
0.1337 0.7500 0.0282 S
0.2082 0.7500 0.3211 S
0.2918 0.2500 0.8211 S
0.3663 0.2500 0.5282 S
0.4136 0.7500 0.0804 S
0.4789 0.2500 0.2842 S
0.5211 0.7500 0.7158 S
0.5864 0.2500 0.9196 S
0.6337 0.7500 0.4718 S
0.7082 0.7500 0.1789 S
0.7918 0.2500 0.6789 S
0.8663 0.2500 0.9718 S
0.9136 0.7500 0.4196 S
0.9789 0.2500 0.2158 S
```

Values from the calculation:
* volume: 675.11 Å³/cell
* ΔE_f: -2.4040 eV/atom
* raw total energy: -203.33 eV/cell

=====

# 5
EuDy2Se4: relaxed, GGA-PBE.

The structure in POSCAR format:
```
EuDy2Se4
1.0
12.5272 0.0000 0.0000
0.0000 4.1414 0.0000
0.0000 0.0000 14.9577
Eu Dy Se
4 8 16
Direct
0.2418 0.2500 0.1641 Eu
0.2582 0.7500 0.6641 Eu
0.7418 0.2500 0.3359 Eu
0.7582 0.7500 0.8359 Eu
0.0667 0.2500 0.3898 Dy
0.0815 0.2500 0.9013 Dy
0.4185 0.7500 0.4013 Dy
0.4333 0.7500 0.8898 Dy
0.5667 0.2500 0.1102 Dy
0.5815 0.2500 0.5987 Dy
0.9185 0.7500 0.0987 Dy
0.9333 0.7500 0.6102 Dy
0.0238 0.7500 0.7840 Se
0.0893 0.2500 0.5792 Se
0.1328 0.7500 0.0297 Se
0.2075 0.7500 0.3238 Se
0.2925 0.2500 0.8238 Se
0.3672 0.2500 0.5297 Se
0.4107 0.7500 0.0792 Se
0.4762 0.2500 0.2840 Se
0.5238 0.7500 0.7160 Se
0.5893 0.2500 0.9208 Se
0.6328 0.7500 0.4703 Se
0.7075 0.7500 0.1762 Se
0.7925 0.2500 0.6762 Se
0.8672 0.2500 0.9703 Se
0.9107 0.7500 0.4208 Se
0.9762 0.2500 0.2160 Se
```

Values from the calculation:
* volume: 776.00 Å³/cell
* ΔE_f: -2.2018 eV/atom
* raw total energy: -187.91 eV/cell

=====

# 6
K3DyF6: relaxed, GGA-PBE.

The structure in POSCAR format:
```
K3DyF6
1.0
6.4291 0.0000 0.0000
0.0000 6.6364 0.0000
-6.4019 0.0000 9.1795
K Dy F
6 2 12
Direct
0.0000 0.0000 0.0000 K
0.0000 0.5000 0.5000 K
0.2332 0.0489 0.7462 K
0.2332 0.4511 0.2462 K
0.7668 0.5489 0.7538 K
0.7668 0.9511 0.2538 K
0.5000 0.0000 0.5000 Dy
0.5000 0.5000 0.0000 Dy
0.1716 0.1734 0.4506 F
0.1716 0.3266 0.9506 F
0.2666 0.7272 0.4339 F
0.2666 0.7728 0.9339 F
0.3845 0.0529 0.2761 F
0.3845 0.4471 0.7761 F
0.6155 0.5529 0.2239 F
0.6155 0.9471 0.7239 F
0.7334 0.2272 0.0661 F
0.7334 0.2728 0.5661 F
0.8284 0.6734 0.0494 F
0.8284 0.8266 0.5494 F
```

Values from the calculation:
* volume: 391.65 Å³/cell
* ΔE_f: -3.6041 eV/atom
* raw total energy: -105.39 eV/cell